(1)
# ZrAgMo (PBE-GGA, optimized geometry)
# * energy of formation: 2.86 eV/f.u.
# * space group: F-43m (216)
data_ZrAgMo
_chemical_formula_sum 'Zr1 Ag1 Mo1'
_cell_length_a 4.5098
_cell_length_b 4.5098
_cell_length_c 4.5098
_cell_angle_alpha 60.00
_cell_angle_beta 60.00
_cell_angle_gamma 60.00
_space_group_name_H-M_alt 'P 1'
_space_group_IT_number 1
_space_group_name_Hall 'P 1'
loop_
_atom_site_label
_atom_site_type_symbol
_atom_site_fract_x
_atom_site_fract_y
_atom_site_fract_z
_atom_site_occupancy
Ag1 Ag 0.7500 0.7500 0.7500 1
Zr1 Zr 0.5000 0.5000 0.5000 1
Mo1 Mo 0.0000 0.0000 0.0000 1

(2)
# HoCuSi (PBE-GGA, optimized geometry)
# * energy of formation: -1.83 eV/f.u.
# * space group: P-6m2 (187)
# * E (MP2020): -15.94 eV per cell
data_HoCuSi
_chemical_formula_sum 'Ho1 Cu1 Si1'
_cell_length_a 4.0446
_cell_length_b 4.0446
_cell_length_c 3.9921
_cell_angle_alpha 90.00
_cell_angle_beta 90.00
_cell_angle_gamma 120.00
_space_group_name_H-M_alt 'P 1'
_space_group_IT_number 1
_space_group_name_Hall 'P 1'
loop_
_atom_site_label
_atom_site_type_symbol
_atom_site_fract_x
_atom_site_fract_y
_atom_site_fract_z
_atom_site_occupancy
Si1 Si 0.0000 0.0000 0.5000 1
Cu1 Cu 0.6667 0.3333 0.5000 1
Ho1 Ho 0.3333 0.6667 0.0000 1

(3)
# BaYBr5 (PBE-GGA, optimized geometry)
# * energy of formation: -16.41 eV/f.u.
# * space group: P2_1/c (14)
# * E (MP2020): -263.84 eV per cell
# * relative energy among the computed polymorphs: 0.029 eV/atom
data_BaYBr5
_chemical_formula_sum 'Ba8 Y8 Br40'
_cell_length_a 9.8738
_cell_length_b 14.5356
_cell_length_c 21.3822
_cell_angle_alpha 47.82
_cell_angle_beta 90.00
_cell_angle_gamma 90.00
_space_group_name_H-M_alt 'P 1'
_space_group_IT_number 1
_space_group_name_Hall 'P 1'
loop_
_atom_site_label
_atom_site_type_symbol
_atom_site_fract_x
_atom_site_fract_y
_atom_site_fract_z
_atom_site_occupancy
Br1 Br 0.9308 0.3675 0.4458 1
Br2 Br 0.0323 0.6394 0.0565 1
Br3 Br 0.4796 0.0272 0.1338 1
Br4 Br 0.9367 0.3028 0.7772 1
Br5 Br 0.9677 0.3606 0.9435 1
Br6 Br 0.4802 0.0137 0.6535 1
Br7 Br 0.4677 0.6394 0.5565 1
Br8 Br 0.7752 0.0626 0.9810 1
Br9 Br 0.2645 0.3176 0.1081 1
Br10 Br 0.0633 0.6972 0.2228 1
Br11 Br 0.2355 0.3176 0.6081 1
Br12 Br 0.5204 0.9728 0.8662 1
Br13 Br 0.4308 0.6325 0.0542 1
Br14 Br 0.2455 0.4201 0.2818 1
Br15 Br 0.0680 0.7079 0.7069 1
Br16 Br 0.2248 0.9374 0.0190 1
Br17 Br 0.5198 0.9863 0.3465 1
Br18 Br 0.7355 0.6824 0.8919 1
Br19 Br 0.0692 0.6325 0.5542 1
Br20 Br 0.9320 0.2921 0.2931 1
Br21 Br 0.7748 0.2459 0.1547 1
Br22 Br 0.0204 0.0272 0.6338 1
Br23 Br 0.2252 0.7541 0.8453 1
Br24 Br 0.0198 0.0137 0.1535 1
Br25 Br 0.9802 0.9863 0.8465 1
Br26 Br 0.5323 0.3606 0.4435 1
Br27 Br 0.5680 0.2921 0.7931 1
Br28 Br 0.7645 0.6824 0.3919 1
Br29 Br 0.9796 0.9728 0.3662 1
Br30 Br 0.5692 0.3675 0.9458 1
Br31 Br 0.7545 0.5799 0.7182 1
Br32 Br 0.2545 0.4201 0.7818 1
Br33 Br 0.7252 0.2459 0.6547 1
Br34 Br 0.7455 0.5799 0.2182 1
Br35 Br 0.4367 0.6972 0.7228 1
Br36 Br 0.4320 0.7079 0.2069 1
Br37 Br 0.5633 0.3028 0.2772 1
Br38 Br 0.2748 0.7541 0.3453 1
Br39 Br 0.7248 0.0626 0.4810 1
Br40 Br 0.2752 0.9374 0.5190 1
Y1 Y 0.2379 0.6650 0.1268 1
Y2 Y 0.7621 0.3350 0.8732 1
Y3 Y 0.7379 0.3350 0.3732 1
Y4 Y 0.2507 0.8918 0.1763 1
Y5 Y 0.7508 0.1082 0.3237 1
Y6 Y 0.2621 0.6650 0.6268 1
Y7 Y 0.2492 0.8918 0.6763 1
Y8 Y 0.7492 0.1082 0.8237 1
Ba1 Ba 0.7356 0.5190 0.0903 1
Ba2 Ba 0.2520 0.1607 0.8003 1
Ba3 Ba 0.2480 0.1607 0.3003 1
Ba4 Ba 0.7520 0.8393 0.6997 1
Ba5 Ba 0.2644 0.4810 0.9097 1
Ba6 Ba 0.2356 0.4810 0.4097 1
Ba7 Ba 0.7480 0.8393 0.1997 1
Ba8 Ba 0.7644 0.5190 0.5903 1

(4)
# ScAs2H4NO7 (PBE-GGA, optimized geometry)
# * energy of formation: -21.22 eV/f.u.
# * space group: P2_1/c (14)
# * E (MP2020): -373.66 eV per cell
# * relative energy among the computed polymorphs: 0.319 eV/atom
data_ScAs2H4NO7
_chemical_formula_sum 'Sc4 As8 H16 N4 O28'
_cell_length_a 10.7449
_cell_length_b 8.5479
_cell_length_c 9.7141
_cell_angle_alpha 67.02
_cell_angle_beta 90.00
_cell_angle_gamma 90.00
_space_group_name_H-M_alt 'P 1'
_space_group_IT_number 1
_space_group_name_Hall 'P 1'
loop_
_atom_site_label
_atom_site_type_symbol
_atom_site_fract_x
_atom_site_fract_y
_atom_site_fract_z
_atom_site_occupancy
H1 H 0.3010 0.6864 0.1823 1
H2 H 0.9367 0.3529 0.6170 1
H3 H 0.4410 0.9654 0.1607 1
H4 H 0.1951 0.9946 0.0164 1
H5 H 0.1990 0.6864 0.6823 1
H6 H 0.3049 0.9946 0.5164 1
H7 H 0.8049 0.0054 0.9836 1
H8 H 0.6990 0.3136 0.8177 1
H9 H 0.5590 0.0346 0.8393 1
H10 H 0.9410 0.0346 0.3393 1
H11 H 0.4367 0.6471 0.8830 1
H12 H 0.8010 0.3136 0.3177 1
H13 H 0.0590 0.9654 0.6607 1
H14 H 0.6951 0.0054 0.4836 1
H15 H 0.5633 0.3529 0.1170 1
H16 H 0.0633 0.6471 0.3830 1
As1 As 0.8872 0.5796 0.6736 1
As2 As 0.6128 0.5796 0.1736 1
As3 As 0.9409 0.8275 0.8851 1
As4 As 0.4409 0.1725 0.6149 1
As5 As 0.1128 0.4204 0.3264 1
As6 As 0.3872 0.4204 0.8264 1
As7 As 0.0591 0.1725 0.1149 1
As8 As 0.5591 0.8275 0.3851 1
O1 O 0.4320 0.6407 0.7832 1
O2 O 0.7979 0.8711 0.7912 1
O3 O 0.2348 0.4244 0.7731 1
O4 O 0.4895 0.3486 0.7323 1
O5 O 0.4762 0.0136 0.2299 1
O6 O 0.2021 0.1289 0.2088 1
O7 O 0.7021 0.8711 0.2912 1
O8 O 0.3762 0.0729 0.4737 1
O9 O 0.0680 0.6407 0.2832 1
O10 O 0.2979 0.1289 0.7088 1
O11 O 0.4065 0.3384 0.0152 1
O12 O 0.8762 0.9271 0.0263 1
O13 O 0.5935 0.6616 0.9848 1
O14 O 0.7348 0.5756 0.7269 1
O15 O 0.0238 0.0136 0.7299 1
O16 O 0.9065 0.6616 0.4848 1
O17 O 0.0105 0.3486 0.2323 1
O18 O 0.0935 0.3384 0.5152 1
O19 O 0.1238 0.0729 0.9737 1
O20 O 0.9320 0.3593 0.7168 1
O21 O 0.2652 0.4244 0.2731 1
O22 O 0.6238 0.9271 0.5263 1
O23 O 0.7652 0.5756 0.2269 1
O24 O 0.5680 0.3593 0.2168 1
O25 O 0.9895 0.6514 0.7677 1
O26 O 0.5105 0.6514 0.2677 1
O27 O 0.9762 0.9864 0.2701 1
O28 O 0.5238 0.9864 0.7701 1
Sc1 Sc 0.6426 0.7768 0.7612 1
Sc2 Sc 0.1426 0.2232 0.7388 1
Sc3 Sc 0.3574 0.2232 0.2388 1
Sc4 Sc 0.8574 0.7768 0.2612 1
N1 N 0.6947 0.1840 0.8863 1
N2 N 0.3053 0.8160 0.1137 1
N3 N 0.1947 0.8160 0.6137 1
N4 N 0.8053 0.1840 0.3863 1

(5)
# Na3N (PBE-GGA, optimized geometry)
# * energy of formation: 1.53 eV/f.u.
# * space group: Fm-3m (225)
# * E (MP2020): -10.77 eV per cell
data_Na3N
_chemical_formula_sum 'Na3 N1'
_cell_length_a 4.4499
_cell_length_b 4.4499
_cell_length_c 4.4499
_cell_angle_alpha 60.00
_cell_angle_beta 60.00
_cell_angle_gamma 60.00
_space_group_name_H-M_alt 'P 1'
_space_group_IT_number 1
_space_group_name_Hall 'P 1'
loop_
_atom_site_label
_atom_site_type_symbol
_atom_site_fract_x
_atom_site_fract_y
_atom_site_fract_z
_atom_site_occupancy
Na1 Na 0.5000 0.5000 0.5000 1
Na2 Na 0.2500 0.2500 0.2500 1
Na3 Na 0.7500 0.7500 0.7500 1
N1 N 0.0000 0.0000 0.0000 1

(6)
# CeSe2 (PBE-GGA, optimized geometry)
# * energy of formation: -4.26 eV/f.u.
# * space group: P3_121 (152)
# * E (MP2020): -51.54 eV per cell
data_CeSe2
_chemical_formula_sum 'Ce3 Se6'
_cell_length_a 8.1143
_cell_length_b 8.1143
_cell_length_c 8.4369
_cell_angle_alpha 90.00
_cell_angle_beta 90.00
_cell_angle_gamma 120.00
_space_group_name_H-M_alt 'P 1'
_space_group_IT_number 1
_space_group_name_Hall 'P 1'
loop_
_atom_site_label
_atom_site_type_symbol
_atom_site_fract_x
_atom_site_fract_y
_atom_site_fract_z
_atom_site_occupancy
Ce1 Ce 0.4551 0.0000 0.8333 1
Ce2 Ce 0.5449 0.5449 0.5000 1
Ce3 Ce 0.0000 0.4551 0.1667 1
Se1 Se 0.2869 0.3942 0.2597 1
Se2 Se 0.7131 0.1073 0.0737 1
Se3 Se 0.8927 0.6058 0.4070 1
Se4 Se 0.6058 0.8927 0.5930 1
Se5 Se 0.3942 0.2869 0.7403 1
Se6 Se 0.1073 0.7131 0.9263 1